Record 1
Compound: SiO2
Source: the Materials Project
Functional: PBE-GGA
Structure: relaxed

E (MP2020) ... -802.83 eV/cell
DFT total energy ... -7.905 eV per atom
Spin magnetization ... 0.00 Bohr magnetons per cell
Formation energy from the elements ... -3256 meV/atom

Unit cell a=14.040 b=5.151 c=25.844 alpha=90.00 beta=90.00 gamma=90.00
Positions (direct):
Si  0.000  0.233  0.081
Si  0.000  0.245  0.562
Si  0.000  0.736  0.150
Si  0.000  0.747  0.631
Si  0.111  0.304  0.390
Si  0.111  0.808  0.322
Si  0.196  0.201  0.500
Si  0.196  0.744  0.211
Si  0.209  0.762  0.664
Si  0.210  0.290  0.047
Si  0.290  0.710  0.547
Si  0.291  0.238  0.164
Si  0.304  0.256  0.711
Si  0.304  0.799  0.000
Si  0.389  0.192  0.822
Si  0.389  0.696  0.890
Si  0.500  0.253  0.131
Si  0.500  0.264  0.650
Si  0.500  0.755  0.062
Si  0.500  0.767  0.581
Si  0.611  0.192  0.822
Si  0.611  0.696  0.890
Si  0.696  0.256  0.711
Si  0.696  0.799  0.000
Si  0.709  0.238  0.164
Si  0.710  0.710  0.547
Si  0.790  0.290  0.047
Si  0.791  0.762  0.664
Si  0.804  0.201  0.500
Si  0.804  0.744  0.211
Si  0.889  0.304  0.390
Si  0.889  0.808  0.322
O  0.000  0.047  0.611
O  0.000  0.271  0.409
O  0.000  0.435  0.130
O  0.000  0.546  0.582
O  0.000  0.796  0.303
O  0.000  0.933  0.101
O  0.093  0.188  0.527
O  0.094  0.280  0.046
O  0.094  0.794  0.184
O  0.095  0.699  0.665
O  0.129  0.593  0.367
O  0.135  0.093  0.345
O  0.182  0.264  0.439
O  0.182  0.757  0.274
O  0.228  0.041  0.692
O  0.235  0.458  0.197
O  0.240  0.579  0.028
O  0.248  0.769  0.604
O  0.249  0.921  0.506
O  0.251  0.079  0.006
O  0.252  0.231  0.104
O  0.260  0.421  0.528
O  0.265  0.542  0.697
O  0.272  0.959  0.192
O  0.318  0.243  0.774
O  0.318  0.736  0.939
O  0.365  0.907  0.845
O  0.371  0.407  0.867
O  0.405  0.301  0.165
O  0.406  0.206  0.684
O  0.406  0.720  0.546
O  0.407  0.812  0.027
O  0.500  0.067  0.601
O  0.500  0.204  0.803
O  0.500  0.454  0.082
O  0.500  0.565  0.630
O  0.500  0.729  0.909
O  0.500  0.953  0.111
O  0.593  0.812  0.027
O  0.594  0.206  0.684
O  0.594  0.720  0.546
O  0.595  0.301  0.165
O  0.629  0.407  0.867
O  0.635  0.907  0.845
O  0.682  0.243  0.774
O  0.682  0.736  0.939
O  0.728  0.959  0.192
O  0.735  0.542  0.697
O  0.740  0.421  0.528
O  0.748  0.231  0.104
O  0.749  0.079  0.006
O  0.751  0.921  0.506
O  0.752  0.769  0.604
O  0.760  0.579  0.028
O  0.765  0.458  0.197
O  0.772  0.041  0.692
O  0.818  0.264  0.439
O  0.818  0.757  0.274
O  0.865  0.093  0.345
O  0.871  0.593  0.367
O  0.905  0.699  0.665
O  0.906  0.280  0.046
O  0.906  0.794  0.184
O  0.907  0.188  0.527

---

Record 2
Compound: NdFe5
Source: the Materials Project
Functional: PBE-GGA
Structure: relaxed

DFT total energy ... -7.813 eV per atom
Formation energy from the elements ... 40 meV/atom

Unit cell a=5.143 b=5.143 c=3.947 alpha=90.00 beta=90.00 gamma=120.00
Positions (direct):
Nd  0.000  0.000  0.000
Fe  0.000  0.500  0.500
Fe  0.333  0.667  0.000
Fe  0.500  0.000  0.500
Fe  0.500  0.500  0.500
Fe  0.667  0.333  0.000

---

Record 3
Compound: Er2Mn3Ga
Source: the Materials Project
Functional: PBE-GGA
Structure: relaxed

Energy above the lowest structure with this stoichiometry ... 0 kJ/mol of formula units
DFT total energy ... -6.694 eV per atom
Spin magnetization ... 14.26 Bohr magnetons per cell
Formation energy from the elements ... -85 meV/atom

Unit cell a=5.389 b=5.389 c=8.445 alpha=90.00 beta=90.00 gamma=120.00
Positions (direct):
Er  0.333  0.667  0.065
Er  0.333  0.667  0.435
Er  0.667  0.333  0.565
Er  0.667  0.333  0.935
Mn  0.174  0.348  0.750
Mn  0.174  0.826  0.750
Mn  0.348  0.174  0.250
Mn  0.652  0.826  0.750
Mn  0.826  0.174  0.250
Mn  0.826  0.652  0.250
Ga  0.000  0.000  0.000
Ga  0.000  0.000  0.500

---

Record 4
Compound: MgIn
Source: the Materials Project
Functional: PBE-GGA
Structure: relaxed

DFT total energy ... -2.235 eV per atom
Formation energy from the elements ... -59 meV/atom

Unit cell a=5.120 b=3.593 c=5.156 alpha=90.00 beta=90.00 gamma=90.00
Positions (direct):
Mg  0.250  0.000  0.185
Mg  0.750  0.000  0.815
In  0.250  0.500  0.685
In  0.750  0.500  0.315

---

Record 5
Compound: RbHS
Source: the Materials Project
Functional: PBE-GGA
Structure: relaxed

E (MP2020) ... -22.63 eV/cell
DFT total energy ... -3.603 eV per atom
Formation energy from the elements ... -934 meV/atom

Unit cell a=4.613 b=5.224 c=6.989 alpha=90.00 beta=101.92 gamma=90.00
Positions (direct):
Rb  0.231  0.250  0.263
Rb  0.769  0.750  0.737
H  0.479  0.750  0.106
H  0.521  0.250  0.894
S  0.265  0.250  0.759
S  0.735  0.750  0.241

---

Record 6
Compound: Sr2MgTiO4
Source: the Materials Project
Functional: PBE-GGA
Structure: relaxed

E (MP2020) ... -52.76 eV/cell
Energy above the lowest structure with this stoichiometry ... 219 kJ/mol of formula units
DFT total energy ... -6.251 eV per atom
Spin magnetization ... 1.59 Bohr magnetons per cell
Formation energy from the elements ... -2511 meV/atom

Unit cell a=10.022 b=10.022 c=10.022 alpha=157.44 beta=157.44 gamma=32.12
Positions (direct):
Sr  0.187  0.187  0.000
Sr  0.813  0.813  0.000
Mg  0.000  0.000  0.000
Ti  0.500  0.500  0.000
O  0.000  0.500  0.500
O  0.308  0.308  0.000
O  0.500  0.000  0.500
O  0.692  0.692  0.000

---

Record 7
Compound: Li2CdGeS4
Source: the Materials Project
Functional: PBE-GGA
Structure: relaxed

E (MP2020) ... -69.49 eV/cell
Maximum piezoelectric response ... 1.0 C/m2
DFT total energy ... -4.091 eV per atom
Spin magnetization ... 0.00 Bohr magnetons per cell
Formation energy from the elements ... -1104 meV/atom

Unit cell a=7.852 b=6.906 c=6.465 alpha=90.00 beta=90.00 gamma=90.00
Positions (direct):
Li  0.245  0.169  0.000
Li  0.255  0.831  0.500
Li  0.745  0.831  0.500
Li  0.755  0.169  0.000
Cd  0.000  0.352  0.503
Cd  0.500  0.648  0.003
Ge  0.000  0.674  0.000
Ge  0.500  0.326  0.500
S  0.000  0.364  0.103
S  0.000  0.695  0.654
S  0.229  0.833  0.122
S  0.271  0.167  0.622
S  0.500  0.305  0.154
S  0.500  0.636  0.603
S  0.729  0.167  0.622
S  0.771  0.833  0.122

---

Record 8
Compound: MoW2Se4S2
Source: the Materials Project
Functional: PBE-GGA
Structure: relaxed

E (MP2020) ... -65.85 eV/cell
Energy above the lowest structure with this stoichiometry ... 20 kJ/mol of formula units
DFT total energy ... -7.205 eV per atom
Spin magnetization ... 0.00 Bohr magnetons per cell
Formation energy from the elements ... -759 meV/atom

Unit cell a=3.277 b=3.277 c=30.225 alpha=90.00 beta=90.00 gamma=120.00
Positions (direct):
Mo  0.000  0.000  0.000
W  0.000  0.000  0.463
W  0.333  0.667  0.231
Se  0.000  0.000  0.175
Se  0.000  0.000  0.288
Se  0.333  0.667  0.406
Se  0.333  0.667  0.519
S  0.333  0.667  0.051
S  0.333  0.667  0.949

---

Record 9
Compound: Sr2YTlCu2O7
Source: the Materials Project
Functional: PBE-GGA
Structure: relaxed

E (MP2020) ... -84.28 eV/cell
Energy above the lowest structure with this stoichiometry ... 0 kJ/mol of formula units
DFT total energy ... -6.113 eV per atom
Spin magnetization ... 0.00 Bohr magnetons per cell
Formation energy from the elements ... -2249 meV/atom

Unit cell a=3.834 b=12.192 c=3.847 alpha=90.00 beta=90.00 gamma=90.00
Positions (direct):
Sr  0.000  0.207  0.000
Sr  0.000  0.793  0.000
Y  0.000  0.500  0.986
Tl  0.500  0.000  0.553
Cu  0.500  0.361  0.488
Cu  0.500  0.639  0.488
O  0.000  0.000  0.926
O  0.000  0.380  0.487
O  0.000  0.620  0.487
O  0.500  0.174  0.486
O  0.500  0.380  0.987
O  0.500  0.620  0.987
O  0.500  0.826  0.486

---

Record 10
Compound: Sb2Rh
Source: the Materials Project
Functional: PBE-GGA
Structure: relaxed

DFT total energy ... -5.669 eV per atom
Formation energy from the elements ... -462 meV/atom

Unit cell a=6.708 b=6.653 c=6.787 alpha=90.00 beta=116.37 gamma=90.00
Positions (direct):
Sb  0.151  0.137  0.373
Sb  0.151  0.363  0.873
Sb  0.345  0.639  0.675
Sb  0.345  0.861  0.175
Sb  0.655  0.139  0.825
Sb  0.655  0.361  0.325
Sb  0.849  0.637  0.127
Sb  0.849  0.863  0.627
Rh  0.272  0.001  0.787
Rh  0.272  0.499  0.287
Rh  0.728  0.501  0.713
Rh  0.728  0.999  0.213

---

Record 11
Compound: TiP2O7
Source: the Materials Project
Functional: PBE-GGA
Structure: relaxed

E (MP2020) ... -165.82 eV/cell
Energy above the lowest structure with this stoichiometry ... 6 kJ/mol of formula units
DFT total energy ... -7.810 eV per atom
Formation energy from the elements ... -2955 meV/atom

Unit cell a=4.917 b=8.132 c=7.035 alpha=90.00 beta=105.79 gamma=90.00
Positions (direct):
Ti  0.210  0.000  0.228
Ti  0.790  0.500  0.772
P  0.246  0.736  0.607
P  0.390  0.319  0.010
P  0.610  0.819  0.990
P  0.754  0.236  0.393
O  0.013  0.177  0.333
O  0.150  0.444  0.961
O  0.161  0.840  0.419
O  0.280  0.144  0.023
O  0.419  0.864  0.771
O  0.421  0.829  0.130
O  0.444  0.593  0.594
O  0.556  0.093  0.406
O  0.579  0.329  0.870
O  0.581  0.364  0.229
O  0.720  0.644  0.977
O  0.839  0.340  0.581
O  0.850  0.944  0.039
O  0.987  0.677  0.667

---

Record 12
Compound: Eu3Ga2P4
Source: the Materials Project
Functional: PBE-GGA
Structure: relaxed

DFT total energy ... -7.397 eV per atom
Spin magnetization ... 42.00 Bohr magnetons per cell
Formation energy from the elements ... -899 meV/atom

Unit cell a=8.210 b=8.210 c=6.566 alpha=90.59 beta=90.59 gamma=76.06
Positions (direct):
Eu  0.100  0.900  0.750
Eu  0.251  0.505  0.035
Eu  0.495  0.749  0.465
Eu  0.505  0.251  0.535
Eu  0.749  0.495  0.965
Eu  0.900  0.100  0.250
Ga  0.082  0.325  0.585
Ga  0.325  0.082  0.085
Ga  0.675  0.918  0.915
Ga  0.918  0.675  0.415
P  0.069  0.242  0.933
P  0.212  0.559  0.525
P  0.242  0.069  0.433
P  0.441  0.788  0.975
P  0.559  0.212  0.025
P  0.758  0.931  0.567
P  0.788  0.441  0.475
P  0.931  0.758  0.067